# r²SCAN AuCl, relaxed
data_AuCl
_chemical_formula_sum 'Au4 Cl4'
_space_group_name_H-M_alt 'P 1'
_space_group_IT_number 1
_space_group_name_Hall 'P 1'
_cell_length_a 4.2724
_cell_length_b 4.2724
_cell_length_c 11.5585
_cell_angle_alpha 90.00
_cell_angle_beta 90.00
_cell_angle_gamma 90.00
loop_
_atom_site_label
_atom_site_fract_x
_atom_site_fract_y
_atom_site_fract_z
Au1 0.7500 0.2500 0.7500
Au2 0.7500 0.7500 0.2500
Cl1 0.5000 0.0000 0.4038
Au3 0.2500 0.2500 0.2500
Au4 0.2500 0.7500 0.7500
Cl2 0.0000 0.5000 0.0962
Cl3 0.5000 0.0000 0.9038
Cl4 0.0000 0.5000 0.5962
# Crystal system: tetragonal
# Energy of formation: -0.51 eV/f.u.
# Total moment: 0.00 Bohr magnetons per cell



# r²SCAN AuCl, relaxed
data_AuCl
_chemical_formula_sum 'Au4 Cl4'
_space_group_name_H-M_alt 'P 1'
_space_group_IT_number 1
_space_group_name_Hall 'P 1'
_cell_length_a 6.5189
_cell_length_b 6.5189
_cell_length_c 6.5189
_cell_angle_alpha 96.98
_cell_angle_beta 116.06
_cell_angle_gamma 116.06
loop_
_atom_site_label
_atom_site_fract_x
_atom_site_fract_y
_atom_site_fract_z
Cl1 0.2500 0.4270 0.1770
Cl2 0.7500 0.5730 0.8230
Au1 0.5000 0.0000 0.0000
Au2 0.0000 0.0000 0.0000
Au3 0.5000 0.5000 0.0000
Cl3 0.7500 0.1770 0.4270
Au4 0.0000 0.0000 0.5000
Cl4 0.2500 0.8230 0.5730
# Crystal system: tetragonal
# Energy of formation: -0.53 eV/f.u.
# Total moment: 0.00 Bohr magnetons per cell



# r²SCAN AuCl2, relaxed
data_AuCl2
_chemical_formula_sum 'Au4 Cl8'
_space_group_name_H-M_alt 'P 1'
_space_group_IT_number 1
_space_group_name_Hall 'P 1'
_cell_length_a 6.9162
_cell_length_b 6.8928
_cell_length_c 7.1344
_cell_angle_alpha 87.30
_cell_angle_beta 70.32
_cell_angle_gamma 86.59
loop_
_atom_site_label
_atom_site_fract_x
_atom_site_fract_y
_atom_site_fract_z
Au1 0.6243 0.2441 0.0852
Cl1 0.9106 0.2967 0.8116
Cl2 0.3310 0.1913 0.3710
Cl3 0.4251 0.2520 0.8848
Au2 0.2709 0.4781 0.5369
Cl4 0.5749 0.7480 0.1152
Cl5 0.8283 0.2375 0.2909
Cl6 0.0894 0.7033 0.1884
Cl7 0.1717 0.7625 0.7091
Cl8 0.6690 0.8087 0.6290
Au3 0.7291 0.5219 0.4631
Au4 0.3757 0.7559 0.9148
# Crystal system: triclinic
# Energy of formation: -0.95 eV/f.u.
# Total moment: 0.00 Bohr magnetons per cell